DFT (PBE) results for a relaxed structure of SiAg2S3.

Output
Total moment = 0.0 μB per formula unit
V = 22.3 Å³/atom

CIF file:
```
data_SiAg2S3
_chemical_formula_sum 'Si4 Ag8 S12'
_cell_length_a 6.743
_cell_length_b 6.719
_cell_length_c 13.437
_cell_angle_alpha 90.00
_cell_angle_beta 118.62
_cell_angle_gamma 90.00
_symmetry_space_group_name_H-M 'P 1'
_symmetry_Int_Tables_number 1
_symmetry_space_group_name_Hall 'P 1'
loop_
_atom_site_label
_atom_site_type_symbol
_atom_site_fract_x
_atom_site_fract_y
_atom_site_fract_z
Si1 Si 0.160 0.153 0.005
Si2 Si 0.160 0.347 0.505
Si3 Si 0.840 0.653 0.495
Si4 Si 0.840 0.847 0.995
Ag1 Ag 0.226 0.020 0.752
Ag2 Ag 0.226 0.480 0.252
Ag3 Ag 0.487 0.606 0.113
Ag4 Ag 0.487 0.894 0.613
Ag5 Ag 0.513 0.106 0.387
Ag6 Ag 0.513 0.394 0.887
Ag7 Ag 0.774 0.520 0.748
Ag8 Ag 0.774 0.980 0.248
S1 S 0.125 0.204 0.357
S2 S 0.125 0.296 0.857
S3 S 0.152 0.671 0.483
S4 S 0.152 0.829 0.983
S5 S 0.441 0.248 0.158
S6 S 0.441 0.252 0.658
S7 S 0.559 0.748 0.342
S8 S 0.559 0.752 0.842
S9 S 0.848 0.171 0.017
S10 S 0.848 0.329 0.517
S11 S 0.875 0.704 0.143
S12 S 0.875 0.796 0.643
```

---

DFT (PBE) results for a relaxed structure of AlBiSeCl4.

Output
Total moment = 0.0 μB per formula unit
V = 30.6 Å³/atom

CIF file:
```
data_AlBiSeCl4
_chemical_formula_sum 'Al4 Bi4 Se4 Cl16'
_cell_length_a 10.378
_cell_length_b 10.378
_cell_length_c 10.378
_cell_angle_alpha 107.62
_cell_angle_beta 107.62
_cell_angle_gamma 113.23
_symmetry_space_group_name_H-M 'P 1'
_symmetry_Int_Tables_number 1
_symmetry_space_group_name_Hall 'P 1'
loop_
_atom_site_label
_atom_site_type_symbol
_atom_site_fract_x
_atom_site_fract_y
_atom_site_fract_z
Al1 Al 0.162 0.392 0.625
Al2 Al 0.463 0.838 0.230
Al3 Al 0.608 0.233 0.770
Al4 Al 0.767 0.537 0.375
Bi1 Bi 0.277 0.180 0.216
Bi2 Bi 0.820 0.036 0.097
Bi3 Bi 0.939 0.723 0.903
Bi4 Bi 0.964 0.061 0.784
Se1 Se 0.017 0.926 0.202
Se2 Se 0.074 0.276 0.091
Se3 Se 0.185 0.983 0.909
Se4 Se 0.724 0.815 0.798
Cl1 Cl 0.155 0.602 0.716
Cl2 Cl 0.205 0.685 0.118
Cl3 Cl 0.246 0.336 0.808
Cl4 Cl 0.315 0.433 0.519
Cl5 Cl 0.398 0.114 0.553
Cl6 Cl 0.524 0.068 0.241
Cl7 Cl 0.527 0.438 0.192
Cl8 Cl 0.561 0.845 0.447
Cl9 Cl 0.562 0.754 0.090
Cl10 Cl 0.567 0.087 0.882
Cl11 Cl 0.664 0.473 0.910
Cl12 Cl 0.717 0.476 0.544
Cl13 Cl 0.827 0.283 0.759
Cl14 Cl 0.886 0.439 0.284
Cl15 Cl 0.913 0.795 0.481
Cl16 Cl 0.932 0.173 0.456
```

---

Record-wise DFT total energy values, in eV per atom: -4.2867; -3.8102